[1]
# In5CuSe8 | Materials Project | PBE | relaxed
data_In5CuSe8
_chemical_formula_sum 'In5 Cu1 Se8'
_symmetry_space_group_name_H-M 'P -4 2 m'
_symmetry_Int_Tables_number 111
_symmetry_space_group_name_Hall 'P -4 2'
_cell_length_a 5.8827
_cell_length_b 5.8827
_cell_length_c 11.7690
_cell_angle_alpha 90.00
_cell_angle_beta 90.00
_cell_angle_gamma 90.00
loop_
_atom_site_label
_atom_site_fract_x
_atom_site_fract_y
_atom_site_fract_z
In1 0.0000 0.0000 0.0000
In2 0.0000 0.5000 0.2591
Cu1 0.5000 0.5000 0.5000
Se1 0.2457 0.2457 0.6075
Se2 0.2730 0.2730 0.1143
# Formation enthalpy at 0 K (eV per atom): -0.7635

[2]
# In9Cu4Se16 | Materials Project | PBE | relaxed
data_In9Cu4Se16
_chemical_formula_sum 'In18 Cu8 Se32'
_symmetry_space_group_name_H-M 'P -4 3 m'
_symmetry_Int_Tables_number 215
_symmetry_space_group_name_Hall 'P -4 2 3'
_cell_length_a 11.8510
_cell_length_b 11.8510
_cell_length_c 11.8510
_cell_angle_alpha 90.00
_cell_angle_beta 90.00
_cell_angle_gamma 90.00
loop_
_atom_site_label
_atom_site_fract_x
_atom_site_fract_y
_atom_site_fract_z
In1 0.0000 0.0000 0.2605
In2 0.0000 0.2692 0.5000
Cu1 0.2575 0.2575 0.2575
Cu2 0.2705 0.2705 0.7295
Se1 0.1352 0.1352 0.1352
Se2 0.1386 0.1386 0.6310
Se3 0.1492 0.3815 0.3815
Se4 0.3799 0.3799 0.6201
# Formation enthalpy at 0 K (eV per atom): -0.5650

Energy values (in eV/atom) by entry order: -3.7670, -3.6528.
Mass density values (in g/cm3) by entry order: 5.18, 5.09.